Entry 1:
Material: Li9Mn2Co5O16
Method: DFT, PBE with a Hubbard U
State: optimized geometry

Calculated values
SG	Pm, No. 6
formation energy from the elements	-1820	meV/atom

Cell lengths 10.273, 2.895, 10.330 Å; angles 90.00, 110.43, 90.00 degrees
Fractional coordinates of all 32 atoms:
Li1 0.000 0.000 0.000
Li2 0.001 0.000 0.488
Li3 0.256 0.500 0.487
Li4 0.268 0.500 0.012
Li5 0.508 0.500 0.245
Li6 0.513 0.000 0.018
Li7 0.525 0.000 0.484
Li8 0.755 0.500 0.489
Li9 0.763 0.500 0.010
Mn1 0.260 0.000 0.748
Mn2 0.266 0.000 0.245
Co1 0.004 0.500 0.249
Co2 0.008 0.500 0.749
Co3 0.512 0.500 0.747
Co4 0.743 0.000 0.255
Co5 0.759 0.000 0.748
O1 0.129 0.000 0.849
O2 0.137 0.000 0.359
O3 0.146 0.500 0.136
O4 0.153 0.500 0.634
O5 0.366 0.500 0.862
O6 0.371 0.000 0.132
O7 0.371 0.500 0.361
O8 0.387 0.000 0.646
O9 0.624 0.000 0.856
O10 0.643 0.500 0.630
O11 0.644 0.000 0.370
O12 0.644 0.500 0.128
O13 0.877 0.500 0.865
O14 0.885 0.500 0.365
O15 0.895 0.000 0.134
O16 0.898 0.000 0.640

Entry 2:
Material: Li3V3B2O10
Method: DFT, PBE with a Hubbard U
State: optimized geometry

Calculated values
SG	P2_1/c, No. 14
formation energy from the elements	-2575	meV/atom

Cell lengths 3.012, 9.422, 12.001 Å; angles 90.00, 90.14, 90.00 degrees
Fractional coordinates of all 36 atoms:
Li1 0.000 0.000 0.000
Li2 0.000 0.500 0.500
Li3 0.002 0.007 0.723
Li4 0.002 0.493 0.223
Li5 0.998 0.507 0.777
Li6 0.998 0.993 0.277
V1 0.476 0.734 0.385
V2 0.476 0.766 0.885
V3 0.500 0.000 0.500
V4 0.500 0.500 0.000
V5 0.524 0.234 0.115
V6 0.524 0.266 0.615
B1 0.496 0.236 0.862
B2 0.496 0.264 0.362
B3 0.504 0.736 0.638
B4 0.504 0.764 0.138
O1 0.006 0.622 0.354
O2 0.006 0.878 0.854
O3 0.007 0.121 0.569
O4 0.007 0.379 0.069
O5 0.488 0.156 0.959
O6 0.488 0.344 0.459
O7 0.496 0.117 0.363
O8 0.496 0.383 0.863
O9 0.498 0.665 0.740
O10 0.498 0.835 0.240
O11 0.502 0.165 0.760
O12 0.502 0.335 0.260
O13 0.504 0.617 0.137
O14 0.504 0.883 0.637
O15 0.512 0.656 0.541
O16 0.512 0.844 0.041
O17 0.993 0.621 0.931
O18 0.993 0.879 0.431
O19 0.994 0.122 0.146
O20 0.994 0.378 0.646

Entry 3:
Material: Na2Ni4Mo4H5O20
Method: DFT, PBE with a Hubbard U
State: optimized geometry

Calculated values
SG	P-1, No. 2
formation energy from the elements	-1666	meV/atom

Cell lengths 5.696, 7.682, 9.986 Å; angles 107.01, 94.35, 95.12 degrees
Fractional coordinates of all 35 atoms:
Na1 0.250 0.249 0.250
Na2 0.750 0.751 0.750
Ni1 0.000 0.000 0.500
Ni2 0.251 0.751 0.249
Ni3 0.500 0.500 0.000
Ni4 0.749 0.249 0.751
Mo1 0.226 0.430 0.648
Mo2 0.277 0.070 0.853
Mo3 0.723 0.930 0.147
Mo4 0.774 0.570 0.352
H1 0.000 0.500 0.000
H2 0.163 0.702 0.980
H3 0.342 0.799 0.521
H4 0.658 0.201 0.479
H5 0.837 0.298 0.020
O1 0.054 0.526 0.284
O2 0.058 0.112 0.722
O3 0.156 0.873 0.891
O4 0.174 0.244 0.486
O5 0.179 0.612 0.033
O6 0.296 0.876 0.461
O7 0.328 0.256 0.015
O8 0.348 0.627 0.610
O9 0.441 0.972 0.212
O10 0.446 0.389 0.779
O11 0.554 0.611 0.221
O12 0.559 0.028 0.788
O13 0.652 0.373 0.390
O14 0.672 0.744 0.985
O15 0.704 0.124 0.539
O16 0.821 0.388 0.967
O17 0.826 0.756 0.514
O18 0.844 0.127 0.109
O19 0.942 0.888 0.278
O20 0.946 0.474 0.716

Entry 4:
Material: Fe2O3
Method: DFT, PBE with a Hubbard U
State: optimized geometry

Calculated values
SG	P3, No. 143
formation energy from the elements	-1179	meV/atom

Cell lengths 5.435, 5.435, 15.040 Å; angles 90.00, 90.00, 120.00 degrees
Fractional coordinates of all 30 atoms:
Fe1 0.000 0.000 0.000
Fe2 0.000 0.000 0.171
Fe3 0.000 0.000 0.492
Fe4 0.000 0.000 0.663
Fe5 0.022 0.376 0.843
Fe6 0.333 0.667 0.531
Fe7 0.353 0.978 0.843
Fe8 0.368 0.341 0.345
Fe9 0.624 0.647 0.843
Fe10 0.659 0.027 0.345
Fe11 0.667 0.333 0.642
Fe12 0.973 0.632 0.345
O1 0.001 0.678 0.572
O2 0.003 0.270 0.058
O3 0.031 0.336 0.405
O4 0.267 0.997 0.058
O5 0.305 0.969 0.405
O6 0.307 0.295 0.888
O7 0.312 0.300 0.231
O8 0.322 0.323 0.572
O9 0.346 0.053 0.722
O10 0.664 0.695 0.405
O11 0.677 0.999 0.572
O12 0.700 0.012 0.231
O13 0.705 0.012 0.888
O14 0.707 0.654 0.722
O15 0.730 0.733 0.058
O16 0.947 0.293 0.722
O17 0.988 0.688 0.231
O18 0.988 0.693 0.888

Entry 5:
Material: Mn7Pb3O15
Method: DFT, PBE with a Hubbard U
State: optimized geometry

Calculated values
SG	P6_3/mcm, No. 193
formation energy from the elements	-1829	meV/atom

Cell lengths 10.255, 10.255, 13.894 Å; angles 90.00, 90.00, 120.00 degrees
Fractional coordinates of all 100 atoms:
Mn1 0.000 0.000 0.000
Mn2 0.000 0.000 0.500
Mn3 0.000 0.500 0.000
Mn4 0.000 0.500 0.500
Mn5 0.167 0.334 0.000
Mn6 0.167 0.334 0.500
Mn7 0.167 0.833 0.000
Mn8 0.167 0.833 0.500
Mn9 0.333 0.667 0.146
Mn10 0.333 0.667 0.354
Mn11 0.333 0.667 0.646
Mn12 0.333 0.667 0.854
Mn13 0.334 0.167 0.000
Mn14 0.334 0.167 0.500
Mn15 0.500 0.000 0.000
Mn16 0.500 0.000 0.500
Mn17 0.500 0.500 0.000
Mn18 0.500 0.500 0.500
Mn19 0.666 0.833 0.000
Mn20 0.666 0.833 0.500
Mn21 0.667 0.333 0.146
Mn22 0.667 0.333 0.354
Mn23 0.667 0.333 0.646
Mn24 0.667 0.333 0.854
Mn25 0.833 0.167 0.000
Mn26 0.833 0.167 0.500
Mn27 0.833 0.666 0.000
Mn28 0.833 0.666 0.500
Pb1 0.000 0.269 0.250
Pb2 0.000 0.390 0.750
Pb3 0.000 0.610 0.250
Pb4 0.000 0.731 0.750
Pb5 0.269 0.000 0.250
Pb6 0.269 0.269 0.750
Pb7 0.390 0.000 0.750
Pb8 0.390 0.390 0.250
Pb9 0.610 0.000 0.250
Pb10 0.610 0.610 0.750
Pb11 0.731 0.000 0.750
Pb12 0.731 0.731 0.250
O1 0.000 0.164 0.571
O2 0.000 0.164 0.929
O3 0.000 0.328 0.074
O4 0.000 0.328 0.426
O5 0.000 0.672 0.574
O6 0.000 0.672 0.926
O7 0.000 0.836 0.071
O8 0.000 0.836 0.429
O9 0.157 0.487 0.577
O10 0.157 0.487 0.923
O11 0.157 0.670 0.077
O12 0.157 0.670 0.423
O13 0.164 0.000 0.571
O14 0.164 0.000 0.929
O15 0.164 0.164 0.071
O16 0.164 0.164 0.429
O17 0.171 0.522 0.250
O18 0.171 0.648 0.750
O19 0.328 0.000 0.074
O20 0.328 0.000 0.426
O21 0.328 0.328 0.574
O22 0.328 0.328 0.926
O23 0.330 0.487 0.077
O24 0.330 0.487 0.423
O25 0.330 0.843 0.577
O26 0.330 0.843 0.923
O27 0.352 0.522 0.750
O28 0.352 0.829 0.250
O29 0.478 0.648 0.250
O30 0.478 0.829 0.750
O31 0.487 0.157 0.577
O32 0.487 0.157 0.923
O33 0.487 0.330 0.077
O34 0.487 0.330 0.423
O35 0.513 0.670 0.577
O36 0.513 0.670 0.923
O37 0.513 0.843 0.077
O38 0.513 0.843 0.423
O39 0.522 0.171 0.250
O40 0.522 0.352 0.750
O41 0.648 0.171 0.750
O42 0.648 0.478 0.250
O43 0.670 0.157 0.077
O44 0.670 0.157 0.423
O45 0.670 0.513 0.577
O46 0.670 0.513 0.923
O47 0.672 0.000 0.574
O48 0.672 0.000 0.926
O49 0.672 0.672 0.074
O50 0.672 0.672 0.426
O51 0.829 0.352 0.250
O52 0.829 0.478 0.750
O53 0.836 0.000 0.071
O54 0.836 0.000 0.429
O55 0.836 0.836 0.571
O56 0.836 0.836 0.929
O57 0.843 0.330 0.577
O58 0.843 0.330 0.923
O59 0.843 0.513 0.077
O60 0.843 0.513 0.423

Entry 6:
Material: Mo2P3O12
Method: DFT, PBE with a Hubbard U
State: optimized geometry

Calculated values
SG	P2_1/c, No. 14
formation energy from the elements	-2443	meV/atom

Cell lengths 8.719, 8.859, 15.003 Å; angles 90.00, 125.41, 90.00 degrees
Fractional coordinates of all 68 atoms:
Mo1 0.131 0.034 0.381
Mo2 0.131 0.466 0.881
Mo3 0.368 0.036 0.119
Mo4 0.368 0.464 0.619
Mo5 0.632 0.536 0.381
Mo6 0.632 0.964 0.881
Mo7 0.869 0.534 0.119
Mo8 0.869 0.966 0.619
P1 0.038 0.749 0.505
P2 0.038 0.751 0.005
P3 0.248 0.111 0.855
P4 0.248 0.389 0.355
P5 0.465 0.610 0.856
P6 0.465 0.890 0.356
P7 0.535 0.110 0.644
P8 0.535 0.390 0.144
P9 0.752 0.611 0.645
P10 0.752 0.889 0.145
P11 0.962 0.249 0.995
P12 0.962 0.251 0.495
O1 0.020 0.678 0.091
O2 0.020 0.822 0.591
O3 0.029 0.643 0.924
O4 0.029 0.857 0.424
O5 0.078 0.008 0.777
O6 0.078 0.492 0.277
O7 0.134 0.139 0.066
O8 0.134 0.361 0.566
O9 0.207 0.221 0.330
O10 0.207 0.279 0.830
O11 0.220 0.656 0.565
O12 0.220 0.844 0.065
O13 0.303 0.608 0.870
O14 0.303 0.892 0.370
O15 0.323 0.071 0.973
O16 0.323 0.429 0.473
O17 0.347 0.062 0.540
O18 0.347 0.438 0.040
O19 0.407 0.070 0.839
O20 0.407 0.430 0.339
O21 0.421 0.004 0.265
O22 0.421 0.496 0.765
O23 0.483 0.729 0.322
O24 0.483 0.771 0.822
O25 0.517 0.229 0.178
O26 0.517 0.271 0.678
O27 0.579 0.504 0.235
O28 0.579 0.996 0.735
O29 0.593 0.570 0.661
O30 0.593 0.930 0.161
O31 0.653 0.562 0.960
O32 0.653 0.938 0.460
O33 0.677 0.571 0.527
O34 0.677 0.929 0.027
O35 0.697 0.108 0.630
O36 0.697 0.392 0.130
O37 0.780 0.156 0.935
O38 0.780 0.344 0.435
O39 0.793 0.721 0.170
O40 0.793 0.779 0.670
O41 0.866 0.639 0.434
O42 0.866 0.861 0.934
O43 0.922 0.508 0.723
O44 0.922 0.992 0.223
O45 0.971 0.143 0.576
O46 0.971 0.357 0.076
O47 0.980 0.178 0.409
O48 0.980 0.322 0.909

Which of these has the highest formation energy from the elements?
Fe2O3

What is the formation energy from the elements in the sixth record?
-2443 meV/atom

Look up the formation energy from the elements of the first one.
-1820 meV/atom